# 1
Sm3BWO9: relaxed, GGA+U.

Cell and atoms, written as POSCAR:
```
Sm3BWO9
1.0
8.7091 0.0000 0.0000
-4.3545 7.5423 0.0000
0.0000 0.0000 5.5215
Sm B W O
6 2 2 18
direct
0.0804 0.7243 0.0000
0.2757 0.3561 0.0000
0.3561 0.0804 0.5000
0.6439 0.9196 0.0000
0.7243 0.6439 0.5000
0.9196 0.2757 0.5000
0.0000 0.0000 0.1658
0.0000 0.0000 0.6658
0.3333 0.6667 0.5436
0.6667 0.3333 0.0436
0.0502 0.8726 0.6572
0.1274 0.1776 0.6572
0.1335 0.5182 0.7705
0.1776 0.0502 0.1572
0.2039 0.4648 0.3382
0.2609 0.7961 0.3382
0.3847 0.8665 0.7705
0.4648 0.2609 0.8382
0.4818 0.6153 0.7705
0.5182 0.3847 0.2705
0.5352 0.7391 0.3382
0.6153 0.1335 0.2705
0.7391 0.2039 0.8382
0.7961 0.5352 0.8382
0.8224 0.9498 0.6572
0.8665 0.4818 0.2705
0.8726 0.8224 0.1572
0.9498 0.1274 0.1572
```

space-group type = P6_3, No. 173
calculated formation energy = -3.3509 eV per atom
energy with MP2020 corrections = -8.9455 eV per atom
theoretical density = 7.231 g/cm3
uncorrected energy = -229.23 eV per cell


# 2
Ni6P7O24: relaxed, GGA+U.

Cell and atoms, written as POSCAR:
```
Ni6P7O24
1.0
5.2487 0.0000 0.0000
0.0000 26.3993 0.0000
-1.8898 0.0000 6.1039
Ni P O
12 14 48
direct
0.1197 0.1861 0.2743
0.1197 0.3139 0.2743
0.1926 0.0488 0.6898
0.1926 0.4512 0.6898
0.2021 0.5983 0.0884
0.2021 0.9017 0.0884
0.7979 0.0983 0.9116
0.7979 0.4017 0.9116
0.8074 0.5488 0.3102
0.8074 0.9512 0.3102
0.8803 0.6861 0.7257
0.8803 0.8139 0.7257
0.2457 0.1681 0.8037
0.2457 0.3319 0.8037
0.2909 0.0240 0.2050
0.2909 0.4760 0.2050
0.3160 0.6105 0.6182
0.3160 0.8895 0.6182
0.4569 0.7500 0.9011
0.5431 0.2500 0.0989
0.6840 0.1105 0.3818
0.6840 0.3895 0.3818
0.7091 0.5240 0.7950
0.7091 0.9760 0.7950
0.7543 0.6681 0.1963
0.7543 0.8319 0.1963
0.0598 0.1631 0.9497
0.0598 0.3369 0.9497
0.1136 0.1929 0.5867
0.1136 0.3071 0.5867
0.1215 0.0481 0.9885
0.1215 0.4519 0.9885
0.1387 0.5951 0.3879
0.1387 0.9049 0.3879
0.1401 0.0230 0.3761
0.1401 0.4770 0.3761
0.1429 0.6230 0.7686
0.1429 0.8770 0.7686
0.1619 0.7500 0.7839
0.3427 0.2500 0.2287
0.3949 0.1182 0.7879
0.3949 0.3818 0.7879
0.4129 0.5273 0.1713
0.4129 0.9727 0.1713
0.4481 0.5575 0.7133
0.4481 0.9425 0.7133
0.4782 0.1495 0.3844
0.4782 0.3505 0.3844
0.4945 0.2027 0.9396
0.4945 0.2973 0.9396
0.5055 0.7027 0.0604
0.5055 0.7973 0.0604
0.5218 0.6495 0.6156
0.5218 0.8505 0.6156
0.5519 0.0575 0.2867
0.5519 0.4425 0.2867
0.5871 0.0273 0.8287
0.5871 0.4727 0.8287
0.6051 0.6182 0.2121
0.6051 0.8818 0.2121
0.6573 0.7500 0.7713
0.8381 0.2500 0.2161
0.8571 0.1230 0.2314
0.8571 0.3770 0.2314
0.8599 0.5230 0.6239
0.8599 0.9770 0.6239
0.8613 0.0951 0.6121
0.8613 0.4049 0.6121
0.8785 0.5481 0.0115
0.8785 0.9519 0.0115
0.8864 0.6929 0.4133
0.8864 0.8071 0.4133
0.9402 0.6631 0.0503
0.9402 0.8369 0.0503
```

space-group type = P2_1/m, No. 11
calculated formation energy = -2.2105 eV per atom
energy with MP2020 corrections = -7.3814 eV per atom
theoretical density = 3.742 g/cm3
uncorrected energy = -482.76 eV per cell


# 3
Li3MnV3O8: relaxed, GGA+U.

Cell and atoms, written as POSCAR:
```
Li3MnV3O8
1.0
5.1674 -2.9857 0.0000
5.1674 2.9857 0.0000
-3.4496 0.0000 4.8998
Li Mn V O
3 1 3 8
direct
0.0000 0.0000 0.0000
0.0000 0.5000 0.0000
0.5000 0.0000 0.0000
0.0000 0.0000 0.5000
0.0000 0.5000 0.5000
0.5000 0.0000 0.5000
0.5000 0.5000 0.5000
0.2302 0.2302 0.7159
0.2301 0.7557 0.7156
0.2443 0.7699 0.2844
0.2579 0.2579 0.2742
0.7421 0.7421 0.7258
0.7557 0.2301 0.7156
0.7699 0.2443 0.2844
0.7698 0.7698 0.2841
```

space-group type = C2/m, No. 12
polymorph energy (0 for the lowest one) = 0 meV per atom
calculated formation energy = -2.3829 eV per atom
energy with MP2020 corrections = -7.8312 eV per atom
theoretical density = 3.916 g/cm3
uncorrected energy = -105.20 eV per cell


# 4
V2Cu2O7: relaxed, GGA+U.

Cell and atoms, written as POSCAR:
```
V2Cu2O7
1.0
5.1409 0.0000 0.0000
-0.7169 5.8690 0.0000
-1.2543 -1.7770 9.2621
V Cu O
4 4 14
direct
0.1633 0.1719 0.2183
0.2868 0.2324 0.6972
0.7132 0.7676 0.3028
0.8367 0.8281 0.7817
0.2675 0.6539 0.5150
0.2799 0.6481 0.0058
0.7201 0.3519 0.9942
0.7325 0.3461 0.4850
0.0456 0.3717 0.1194
0.0870 0.3956 0.6023
0.1039 0.9464 0.6895
0.2644 0.9529 0.1085
0.3860 0.3771 0.8793
0.4160 0.3245 0.3500
0.4451 0.8132 0.3834
0.5549 0.1868 0.6166
0.5840 0.6755 0.6500
0.6140 0.6229 0.1207
0.7356 0.0471 0.8915
0.8961 0.0536 0.3105
0.9130 0.6044 0.3977
0.9544 0.6283 0.8806
```

space-group type = P-1, No. 2
polymorph energy (0 for the lowest one) = 38 meV per atom
calculated formation energy = -1.7726 eV per atom
energy with MP2020 corrections = -7.3183 eV per atom
theoretical density = 4.052 g/cm3
uncorrected energy = -144.58 eV per cell